(1)
First-principles (PBE) data for a relaxed structure of TcMo, as listed in Materials Project.

abc: 3.0981 4.4807 4.4225
angles: 90.00 90.00 90.00
Positions (direct):
Tc 0.0000 0.0000 0.0000
Tc 0.5000 0.5000 0.0000
Mo 0.0000 0.5000 0.5000
Mo 0.5000 0.0000 0.5000

Values from the calculation:
- total energy (eV per atom) = -10.50
- crystal system = orthorhombic
- volume (Å³ per atom) = 15.348
- space group = Cmmm

=====

(2)
First-principles (PBE) data for a relaxed structure of ZnTcMo, as listed in Materials Project.

abc: 5.9864 5.9864 5.9864
angles: 90.00 90.00 90.00
Positions (direct):
Zn 0.0000 0.0000 0.0000
Zn 0.0000 0.5000 0.5000
Zn 0.5000 0.0000 0.5000
Zn 0.5000 0.5000 0.0000
Tc 0.0000 0.0000 0.5000
Tc 0.0000 0.5000 0.0000
Tc 0.5000 0.0000 0.0000
Tc 0.5000 0.5000 0.5000
Mo 0.2500 0.2500 0.7500
Mo 0.2500 0.7500 0.2500
Mo 0.7500 0.2500 0.2500
Mo 0.7500 0.7500 0.7500

Values from the calculation:
- total energy (eV per atom) = -6.77
- crystal system = cubic
- volume (Å³ per atom) = 17.878
- space group = F-43m

=====

(3)
First-principles (PBE) data for a relaxed structure of Te2Mo, as listed in Materials Project.

abc: 3.5587 3.5587 40.6933
angles: 90.00 90.00 120.00
Positions (direct):
Te 0.3333 0.6667 0.2384
Te 0.3333 0.6667 0.3273
Te 0.3333 0.6667 0.8612
Te 0.3333 0.6667 0.9502
Te 0.6667 0.3333 0.0498
Te 0.6667 0.3333 0.1388
Te 0.6667 0.3333 0.6727
Te 0.6667 0.3333 0.7616
Mo 0.3333 0.6667 0.0943
Mo 0.3333 0.6667 0.7172
Mo 0.6667 0.3333 0.2828
Mo 0.6667 0.3333 0.9057

Values from the calculation:
- total energy (eV per atom) = -5.99
- crystal system = trigonal
- volume (Å³ per atom) = 37.193
- space group = P-3m1

=====

(4)
First-principles (PBE) data for a relaxed structure of TeMo6, as listed in Materials Project.

abc: 7.3874 7.3874 6.2165
angles: 90.00 90.00 49.53
Positions (direct):
Te 0.0000 0.0000 0.0000
Te 0.5000 0.5000 0.5000
Mo 0.1148 0.6169 0.7503
Mo 0.1169 0.6148 0.2503
Mo 0.2453 0.2453 0.5000
Mo 0.2547 0.2547 0.0000
Mo 0.3831 0.8852 0.7503
Mo 0.3852 0.8831 0.2503
Mo 0.6148 0.1169 0.7497
Mo 0.6169 0.1148 0.2497
Mo 0.7453 0.7453 0.0000
Mo 0.7547 0.7547 0.5000
Mo 0.8831 0.3852 0.7497
Mo 0.8852 0.3831 0.2497

Values from the calculation:
- polymorph energy (0 for the lowest one) (eV/atom) = 0.110
- crystal system = orthorhombic
- volume (Å³ per atom) = 18.435
- space group = Cmce

=====

(5)
First-principles (PBE) data for a relaxed structure of Te2Mo, as listed in Materials Project.

abc: 6.3662 3.4869 15.5479
angles: 90.00 92.39 90.00
Positions (direct):
Te 0.0616 0.2500 0.4053
Te 0.0914 0.7500 0.1332
Te 0.4190 0.7500 0.9051
Te 0.4360 0.2500 0.6333
Te 0.5640 0.7500 0.3667
Te 0.5810 0.2500 0.0949
Te 0.9086 0.2500 0.8668
Te 0.9384 0.7500 0.5947
Mo 0.1817 0.2500 0.0065
Mo 0.3197 0.7500 0.5065
Mo 0.6803 0.2500 0.4935
Mo 0.8183 0.7500 0.9935

Values from the calculation:
- total energy (eV per atom) = -5.97
- crystal system = monoclinic
- volume (Å³ per atom) = 28.736
- space group = P2_1/m

=====

(6)
First-principles (PBE) data for a relaxed structure of Te2Mo, as listed in Materials Project.

abc: 3.5587 3.5587 33.0200
angles: 90.00 90.00 120.00
Positions (direct):
Te 0.0000 0.0000 0.0548
Te 0.0000 0.0000 0.9452
Te 0.3333 0.6667 0.1776
Te 0.3333 0.6667 0.2872
Te 0.3333 0.6667 0.7128
Te 0.3333 0.6667 0.8224
Mo 0.0000 0.0000 0.2324
Mo 0.0000 0.0000 0.7676
Mo 0.3333 0.6667 0.0000

Values from the calculation:
- total energy (eV per atom) = -5.99
- crystal system = hexagonal
- volume (Å³ per atom) = 40.239
- space group = P-6m2

=====

(7)
First-principles (PBE) data for a relaxed structure of Te2Mo, as listed in Materials Project.

abc: 3.5587 3.5587 17.6733
angles: 90.00 90.00 120.00
Positions (direct):
Te 0.0000 0.0000 0.1024
Te 0.0000 0.0000 0.8976
Mo 0.6667 0.3333 0.0000

Values from the calculation:
- maximum piezoelectric response (C/m2) = 0.4
- total energy (eV per atom) = -5.98
- crystal system = hexagonal
- volume (Å³ per atom) = 64.612
- space group = P-6m2

=====

(8)
First-principles (PBE) data for a relaxed structure of TeMo6, as listed in Materials Project.

abc: 9.2972 9.2972 5.3372
angles: 90.00 90.00 33.50
Positions (direct):
Te 0.0000 0.0000 0.0000
Te 0.5000 0.5000 0.5000
Mo 0.0500 0.6981 0.7384
Mo 0.1981 0.5500 0.2384
Mo 0.2491 0.2491 0.5000
Mo 0.2509 0.2509 0.0000
Mo 0.3019 0.9500 0.7384
Mo 0.4500 0.8019 0.2384
Mo 0.5500 0.1981 0.7616
Mo 0.6981 0.0500 0.2616
Mo 0.7491 0.7491 0.0000
Mo 0.7509 0.7509 0.5000
Mo 0.8019 0.4500 0.7616
Mo 0.9500 0.3019 0.2616

Values from the calculation:
- polymorph energy (0 for the lowest one) (eV/atom) = 0.000
- crystal system = orthorhombic
- volume (Å³ per atom) = 18.187
- space group = Cmce